Model A:
Entry from the Materials Project: Li2MnF6 after structural relaxation (PBE with a Hubbard U).

```
Li2MnF6
1.0
-8.682 -0.301 -0.262
4.678 -6.479 -3.417
-0.046 -2.117 3.952
F Mn Li
18 3 6
direct
0.895 0.791 0.784
0.895 0.105 0.784
0.565 0.130 0.749
0.130 0.565 0.251
0.435 0.870 0.251
0.105 0.895 0.216
0.565 0.435 0.749
0.791 0.895 0.216
0.767 0.535 0.274
0.535 0.767 0.726
0.233 0.767 0.726
0.870 0.435 0.749
0.767 0.233 0.274
0.233 0.465 0.726
0.435 0.565 0.251
0.105 0.209 0.216
0.465 0.233 0.274
0.209 0.105 0.784
0.667 0.333 0.509
0.000 0.000 0.000
0.333 0.667 0.491
0.657 0.657 0.000
0.343 0.000 0.000
0.000 0.343 0.000
0.343 0.343 0.000
0.000 0.657 0.000
0.657 0.000 0.000
```

Calculated values
**Total magnetic moment**: 0.33 μB per atom
**Theoretical density**: 3.1 g cm⁻³



Model B:
Entry from the Materials Project: Li2MnF6 after structural relaxation (PBE with a Hubbard U).

```
Li2MnF6
1.0
-2.672 4.337 2.644
-2.319 -2.371 -4.684
-2.393 -3.177 2.793
F Mn Li
6 1 2
direct
0.849 0.151 0.782
0.849 0.698 0.782
0.151 0.849 0.218
0.302 0.151 0.782
0.151 0.302 0.218
0.698 0.849 0.218
0.000 0.000 0.000
0.333 0.667 0.274
0.667 0.333 0.726
```

Calculated values
**Total magnetic moment**: 0.33 μB per atom
**Theoretical density**: 2.2 g cm⁻³



Result of the stability comparison: model A is the most stable of them.



Model A:
Entry from the Materials Project: Li2MnF6 after structural relaxation (PBE with a Hubbard U).

```
Li2MnF6
1.0
5.221 0.000 0.000
0.000 5.083 0.000
0.000 5.089 7.511
F Li Mn
12 4 2
direct
0.557 0.778 0.073
0.180 0.873 0.230
0.069 0.653 0.046
0.956 0.239 0.932
0.044 0.239 0.432
0.931 0.653 0.546
0.303 0.105 0.770
0.697 0.105 0.270
0.443 0.778 0.573
0.420 0.370 0.941
0.580 0.370 0.441
0.820 0.873 0.730
0.794 0.744 0.258
0.206 0.744 0.758
0.738 0.505 0.000
0.262 0.505 0.500
0.750 0.002 0.500
0.250 0.002 0.000
```

Calculated values
**Total magnetic moment**: 0.33 μB per atom
**Theoretical density**: 3.0 g cm⁻³



Model B:
Entry from the Materials Project: Li2MnF6 after structural relaxation (PBE with a Hubbard U).

```
Li2MnF6
1.0
8.468 0.000 0.000
4.058 7.441 0.000
0.737 0.554 10.086
F Mn Li
36 6 12
direct
0.558 0.250 0.705
0.741 0.444 0.792
0.923 0.219 0.568
0.889 0.575 0.123
0.236 0.262 0.165
0.414 0.122 0.893
0.761 0.740 0.829
0.774 0.066 0.438
0.769 0.098 0.937
0.886 0.584 0.617
0.551 0.243 0.199
0.751 0.449 0.300
0.059 0.076 0.842
0.586 0.885 0.113
0.926 0.925 0.156
0.566 0.608 0.572
0.246 0.554 0.699
0.426 0.109 0.387
0.585 0.889 0.610
0.116 0.424 0.884
0.408 0.427 0.930
0.089 0.769 0.444
0.927 0.934 0.661
0.583 0.576 0.077
0.251 0.547 0.199
0.921 0.222 0.069
0.447 0.749 0.299
0.080 0.768 0.938
0.066 0.079 0.341
0.230 0.915 0.056
0.451 0.751 0.802
0.268 0.246 0.664
0.418 0.404 0.428
0.729 0.765 0.334
0.233 0.915 0.554
0.117 0.405 0.387
0.664 0.666 0.206
0.665 0.667 0.707
0.997 0.001 0.000
0.336 0.333 0.797
0.332 0.335 0.296
0.004 0.995 0.497
0.726 0.992 0.274
0.048 0.354 0.565
0.334 0.623 0.530
0.984 0.294 0.229
0.111 0.543 0.050
0.992 0.715 0.769
0.547 0.128 0.553
0.813 0.195 0.746
0.640 0.329 0.036
0.376 0.687 0.964
0.474 0.855 0.456
0.357 0.049 0.061
```

Calculated values
**Total magnetic moment**: 0.33 μB per atom
**Theoretical density**: 2.9 g cm⁻³



Result of the stability comparison: model B is the most stable of them.



Model A:
Entry from the Materials Project: Li2MnF6 after structural relaxation (PBE with a Hubbard U).

```
Li2MnF6
1.0
2.521 -4.367 0.000
2.521 4.367 0.000
0.000 0.000 9.004
F Li Mn
12 4 2
direct
0.365 0.334 0.366
0.972 0.337 0.136
0.031 0.365 0.634
0.337 0.365 0.864
0.365 0.028 0.136
0.663 0.635 0.136
0.969 0.635 0.366
0.666 0.031 0.366
0.334 0.969 0.634
0.028 0.663 0.864
0.635 0.972 0.864
0.635 0.666 0.634
0.667 0.333 0.744
0.000 0.000 0.000
0.000 0.000 0.500
0.333 0.667 0.256
0.667 0.333 0.250
0.333 0.667 0.750
```

Calculated values
**Total magnetic moment**: 0.33 μB per atom
**Theoretical density**: 3.1 g cm⁻³



Model B:
Entry from the Materials Project: Li2MnF6 after structural relaxation (PBE with a Hubbard U).

```
Li2MnF6
1.0
-6.758 -0.719 0.432
5.323 -3.349 2.613
-0.388 3.810 6.742
F Li Mn
12 4 2
direct
0.672 0.963 0.972
0.019 0.540 0.178
0.328 0.037 0.028
0.460 0.981 0.322
0.748 0.818 0.686
0.981 0.460 0.822
0.037 0.328 0.528
0.252 0.182 0.314
0.818 0.748 0.186
0.963 0.672 0.472
0.540 0.019 0.678
0.182 0.252 0.814
0.714 0.267 0.053
0.286 0.733 0.947
0.267 0.714 0.553
0.733 0.286 0.447
0.871 0.129 0.750
0.129 0.871 0.250
```

Calculated values
**Total magnetic moment**: 0.33 μB per atom
**Theoretical density**: 2.4 g cm⁻³



Result of the stability comparison: model A is the most stable of them.



Model A:
Entry from the Materials Project: LiMn2F6 after structural relaxation (PBE with a Hubbard U).

```
LiMn2F6
1.0
-4.074 -1.897 -1.558
1.096 -4.111 2.141
-3.425 -0.883 10.033
F Mn Li
12 4 2
direct
0.703 0.618 0.677
0.297 0.382 0.323
0.696 0.297 0.005
0.200 0.037 0.167
0.800 0.963 0.833
0.804 0.297 0.505
0.196 0.703 0.495
0.797 0.618 0.177
0.300 0.037 0.667
0.700 0.963 0.333
0.203 0.382 0.823
0.304 0.703 0.995
0.000 0.330 0.666
0.500 0.330 0.166
0.500 0.670 0.834
0.000 0.670 0.334
0.500 0.000 0.500
0.000 0.000 0.000
```

Calculated values
**Total magnetic moment**: 1.00 μB per atom
**Theoretical density**: 3.5 g cm⁻³



Model B:
Entry from the Materials Project: LiMn2F6 after structural relaxation (PBE with a Hubbard U).

```
LiMn2F6
1.0
-1.131 -5.139 0.427
0.697 2.606 4.538
-4.368 0.967 0.121
F Li Mn
6 1 2
direct
0.010 0.673 0.742
0.639 0.639 0.281
0.361 0.361 0.719
0.990 0.327 0.258
0.327 0.990 0.258
0.673 0.010 0.742
0.000 0.000 0.000
0.329 0.671 0.500
0.671 0.329 0.500
```

Calculated values
**Total magnetic moment**: 1.00 μB per atom
**Theoretical density**: 3.4 g cm⁻³



Result of the stability comparison: model A is the most stable of them.